Entry 1:
! PBE+U Mg2Cr3O8, relaxed; values from VASP
! Symmetry   C2/m (12)
! DFT total energy   -6.95 eV/atom
! Total magnetization   6.0 μB per cell
! E_form   -2.3199 eV/atom
&SYSTEM
  ibrav = 0, nat = 13, ntyp = 3
/
ATOMIC_SPECIES
O 16.00 O.upf
Cr 52.00 Cr.upf
Mg 24.30 Mg.upf
ATOMIC_POSITIONS angstrom
O 5.384 -5.926 -0.183
O 3.133 -4.296 -0.064
Cr 4.870 -1.539 -1.544
O 7.263 -3.363 0.272
Cr 1.149 -1.170 1.848
Mg 3.735 -3.001 1.481
O 5.322 -4.262 2.031
O 1.061 -0.760 -0.099
O 9.335 -6.899 0.308
O 5.074 -3.396 -1.823
O 5.012 -1.733 0.392
Mg 6.661 -4.657 -1.272
Cr 3.228 -3.779 -1.942
CELL_PARAMETERS angstrom
2.332 -5.001 -2.159
5.766 -0.318 -1.328
2.298 -2.341 3.695

Entry 2:
! PBE+U MgCr4O8, relaxed; values from VASP
! Symmetry   P1 (1)
! DFT total energy   -7.07 eV/atom
! Total magnetization   3.1 μB per cell
! E_form   -1.9719 eV/atom
&SYSTEM
  ibrav = 0, nat = 13, ntyp = 3
/
ATOMIC_SPECIES
O 16.00 O.upf
Mg 24.30 Mg.upf
Cr 52.00 Cr.upf
ATOMIC_POSITIONS angstrom
O -1.369 -8.822 5.723
Mg 1.776 -3.168 0.515
O 1.731 -4.430 -0.953
Cr 0.662 -5.453 3.404
Cr 1.700 -2.621 -2.332
O 1.503 -4.507 1.857
Cr 1.477 -6.035 0.578
O 1.697 -1.620 -0.607
O 0.175 -6.471 4.794
O 0.576 -6.890 2.120
O 0.543 -9.024 3.963
O -1.100 -4.968 2.641
Cr 0.603 -8.004 5.605
CELL_PARAMETERS angstrom
-1.949 -1.399 -1.793
4.535 -1.409 -1.347
-0.490 -8.176 6.856

Entry 3:
! PBE+U MgCrO2, relaxed; values from VASP
! Symmetry   C2/m (12)
! DFT total energy   -6.66 eV/atom
! Total magnetization   14.0 μB per cell
! E_form   -2.2137 eV/atom
&SYSTEM
  ibrav = 0, nat = 16, ntyp = 3
/
ATOMIC_SPECIES
O 16.00 O.upf
Cr 52.00 Cr.upf
Mg 24.30 Mg.upf
ATOMIC_POSITIONS angstrom
O -3.827 -8.539 13.142
Cr -0.746 -7.498 7.049
Mg -3.334 0.566 5.290
O -1.977 -4.574 6.913
Cr -3.587 -1.324 7.180
Mg -4.020 -3.008 9.218
Cr -5.447 -3.040 11.694
O -4.659 -1.034 8.799
O -2.365 -1.999 5.600
Mg -2.859 -11.105 13.452
Mg -2.173 -7.530 9.525
Cr -2.605 -9.214 11.563
O -1.113 -1.264 2.884
O -5.080 -9.275 15.859
O -4.216 -5.965 11.829
O -1.533 -9.504 9.944
CELL_PARAMETERS angstrom
-1.682 -6.413 4.678
0.696 -5.348 6.062
-5.206 1.222 8.002

Entry 4:
! PBE+U MgCr4O8, relaxed; values from VASP
! Symmetry   Imm2 (44)
! DFT total energy   -7.20 eV/atom
! Total magnetization   10.0 μB per cell
! E_form   -2.1028 eV/atom
&SYSTEM
  ibrav = 0, nat = 13, ntyp = 3
/
ATOMIC_SPECIES
O 16.00 O.upf
Cr 52.00 Cr.upf
Mg 24.30 Mg.upf
ATOMIC_POSITIONS angstrom
O 8.985 3.714 4.787
Cr 7.468 4.312 3.506
Cr 3.124 1.802 1.319
Cr 5.947 3.434 1.011
Mg 10.098 5.832 3.357
O 6.160 3.559 4.738
O 5.967 5.082 2.283
Cr 3.184 1.838 5.141
O 10.624 6.136 5.169
O 8.790 5.077 2.182
O 7.710 5.925 4.786
O 4.504 2.603 2.023
O 7.384 2.627 2.283
CELL_PARAMETERS angstrom
5.897 0.144 0.205
3.073 5.036 0.204
3.157 1.823 5.157

Entry 5:
! PBE+U MgCr2O5, relaxed; values from VASP
! Symmetry   Pmmn (59)
! DFT total energy   -6.88 eV/atom
! Total magnetization   8.0 μB per cell
! E_form   -2.1021 eV/atom
&SYSTEM
  ibrav = 0, nat = 16, ntyp = 3
/
ATOMIC_SPECIES
O 16.00 O.upf
Cr 52.00 Cr.upf
Mg 24.30 Mg.upf
ATOMIC_POSITIONS angstrom
O -3.858 -0.095 -0.247
O -4.743 -6.844 7.079
O -1.252 -0.584 1.288
Cr -6.378 -5.890 6.902
O -3.209 -2.470 0.759
Mg -5.281 -1.941 0.473
O -5.392 -4.469 6.074
O -7.349 -6.354 5.544
O -1.893 -2.083 3.164
O -3.699 -4.402 4.024
Cr -3.119 -3.144 2.552
O -4.902 -2.536 2.808
O -6.708 -4.855 3.668
Cr -5.482 -3.795 4.280
Mg -3.320 -4.998 6.359
Cr -2.223 -1.049 -0.070
CELL_PARAMETERS angstrom
-2.428 2.249 0.967
-3.191 -2.215 -2.860
-2.982 -6.972 8.726

Entry 6:
! PBE+U MgCr4O8, relaxed; values from VASP
! Symmetry   P1 (1)
! DFT total energy   -7.17 eV/atom
! Total magnetization   10.0 μB per cell
! E_form   -2.0742 eV/atom
&SYSTEM
  ibrav = 0, nat = 13, ntyp = 3
/
ATOMIC_SPECIES
O 16.00 O.upf
Cr 52.00 Cr.upf
Mg 24.30 Mg.upf
ATOMIC_POSITIONS angstrom
O -0.157 -0.772 -3.052
Cr -1.480 0.264 -4.350
O -0.076 0.280 -5.595
O 0.421 -2.284 -5.293
O -2.250 -1.459 -4.662
Mg -1.924 -0.755 -1.937
O -0.628 1.815 -3.415
O 2.472 -2.152 -3.332
O -2.613 1.632 -5.358
O 2.107 0.969 -4.018
Cr -1.330 -3.208 -4.682
Cr 1.227 2.709 -3.972
Cr 1.318 -0.754 -4.382
CELL_PARAMETERS angstrom
0.844 3.652 -2.959
3.244 -2.914 -2.474
-4.356 -1.314 -3.256

Entry 7:
! PBE+U MgCr4O8, relaxed; values from VASP
! Symmetry   P2 (3)
! DFT total energy   -7.22 eV/atom
! Total magnetization   10.0 μB per cell
! E_form   -2.1229 eV/atom
&SYSTEM
  ibrav = 0, nat = 13, ntyp = 3
/
ATOMIC_SPECIES
O 16.00 O.upf
Cr 52.00 Cr.upf
Mg 24.30 Mg.upf
ATOMIC_POSITIONS angstrom
O 1.287 -0.957 -4.440
O 1.247 3.452 -1.940
O -0.374 0.824 -5.759
O -2.072 2.653 -4.278
Cr 1.230 1.064 -4.549
O -0.468 5.224 -3.334
Cr -0.401 3.169 -3.186
Mg -0.650 -0.416 -4.253
Cr -0.239 -0.118 -1.434
Cr 1.051 4.366 -6.312
O -0.056 1.120 -3.009
O 0.867 3.045 -4.742
O 2.850 1.598 -3.459
CELL_PARAMETERS angstrom
3.446 3.236 -0.814
1.062 -2.262 -4.295
-3.694 3.272 -2.637

Entry 8:
! PBE+U MgCr4O8, relaxed; values from VASP
! Symmetry   Cm (8)
! DFT total energy   -7.34 eV/atom
! Total magnetization   10.0 μB per cell
! E_form   -2.2400 eV/atom
&SYSTEM
  ibrav = 0, nat = 13, ntyp = 3
/
ATOMIC_SPECIES
O 16.00 O.upf
Cr 52.00 Cr.upf
Mg 24.30 Mg.upf
ATOMIC_POSITIONS angstrom
O 0.000 6.302 4.617
O 0.000 9.193 1.741
O 0.000 8.529 6.414
O 0.000 15.738 4.188
Cr 0.000 12.283 3.590
O 0.000 10.978 5.097
O 0.000 4.357 2.730
Cr 0.000 7.847 3.107
Cr 0.000 3.248 1.164
O 0.000 13.863 2.429
Cr 0.000 17.003 5.649
O 0.000 11.340 0.351
Mg 0.000 14.313 5.705
CELL_PARAMETERS angstrom
1.490 7.076 0.000
-1.490 7.076 0.000
0.000 6.105 7.121

Entry 9:
! PBE+U MgCr4O8, relaxed; values from VASP
! Symmetry   P1 (1)
! DFT total energy   -7.28 eV/atom
! Total magnetization   10.0 μB per cell
! E_form   -2.1806 eV/atom
&SYSTEM
  ibrav = 0, nat = 13, ntyp = 3
/
ATOMIC_SPECIES
O 16.00 O.upf
Cr 52.00 Cr.upf
Mg 24.30 Mg.upf
ATOMIC_POSITIONS angstrom
O -1.232 0.685 0.063
O -4.570 -4.630 -0.712
O -3.648 -3.235 1.342
Cr -4.678 -7.749 1.184
O -3.300 -2.124 -3.522
Cr -2.982 -4.949 0.278
Cr -3.984 -3.402 -2.169
Mg -2.623 -1.464 -0.240
O -6.037 -6.991 0.059
O -2.281 -3.569 -1.111
Cr -2.263 -0.485 -3.105
O -0.973 -1.349 -1.822
O -3.711 -6.232 1.317
CELL_PARAMETERS angstrom
-2.473 1.540 0.198
0.287 -1.698 -4.731
-4.773 -8.139 2.605

Entry 10:
! PBE+U MgCrO2, relaxed; values from VASP
! Symmetry   P-1 (2)
! DFT total energy   -6.72 eV/atom
! Total magnetization   16.0 μB per cell
! E_form   -2.2808 eV/atom
&SYSTEM
  ibrav = 0, nat = 16, ntyp = 3
/
ATOMIC_SPECIES
O 16.00 O.upf
Cr 52.00 Cr.upf
Mg 24.30 Mg.upf
ATOMIC_POSITIONS angstrom
O 0.745 0.935 1.950
O 2.201 2.195 7.624
Cr 2.201 3.537 5.757
O 2.220 6.672 3.308
O 5.154 7.782 6.478
O 3.684 5.007 5.716
O 3.678 2.045 5.119
O 3.697 6.523 0.804
O 2.215 3.710 2.712
Cr 2.224 1.610 0.489
Mg 2.202 6.239 5.242
Mg 2.194 0.893 6.116
Mg 3.705 7.825 2.311
Cr 3.698 5.180 2.671
Mg 3.697 2.478 3.186
Cr 3.674 7.107 7.939
CELL_PARAMETERS angstrom
2.963 0.000 0.000
1.476 8.351 0.000
1.459 0.366 8.428

Entry 11:
! PBE+U MgCr4O8, relaxed; values from VASP
! Symmetry   R-3m (166)
! DFT total energy   -7.34 eV/atom
! Total magnetization   10.0 μB per cell
! E_form   -2.2348 eV/atom
&SYSTEM
  ibrav = 0, nat = 13, ntyp = 3
/
ATOMIC_SPECIES
O 16.00 O.upf
Cr 52.00 Cr.upf
Mg 24.30 Mg.upf
ATOMIC_POSITIONS angstrom
O -1.542 -7.971 4.077
O -0.340 -4.873 3.917
O -1.230 -3.205 2.173
Cr -3.056 -3.827 1.960
Cr -0.305 -4.896 1.942
Cr -1.173 -3.092 4.110
O -2.992 -3.843 3.935
O -3.304 -8.610 5.838
Mg -2.267 -5.907 4.006
O -2.155 -5.582 1.844
O -2.379 -6.233 6.167
O -4.194 -6.942 4.095
Cr 0.000 0.000 0.000
CELL_PARAMETERS angstrom
-2.188 -5.631 -0.208
1.578 -4.160 4.091
-3.924 -2.024 4.129

Entry 12:
! PBE+U MgCr2O5, relaxed; values from VASP
! Symmetry   Cmcm (63)
! DFT total energy   -6.92 eV/atom
! Total magnetization   8.0 μB per cell
! E_form   -2.1413 eV/atom
&SYSTEM
  ibrav = 0, nat = 16, ntyp = 3
/
ATOMIC_SPECIES
O 16.00 O.upf
Cr 52.00 Cr.upf
Mg 24.30 Mg.upf
ATOMIC_POSITIONS angstrom
O -3.199 -1.438 -1.749
Cr -4.808 -5.122 -0.182
O -4.009 -3.370 -3.734
O -6.021 -6.609 -0.583
O -0.507 -1.559 -1.883
Cr -1.877 -0.755 -3.026
Cr -4.412 -2.925 -2.150
O -3.352 -3.994 -0.899
Cr -7.343 -7.292 0.694
O -7.131 -6.321 2.066
O -2.089 -1.727 -4.397
O -5.868 -4.053 -1.432
Mg -7.217 -5.815 -2.076
O -8.713 -6.488 -0.449
Mg -2.003 -2.233 -0.256
O -5.211 -4.677 1.402
CELL_PARAMETERS angstrom
-2.500 2.393 -1.309
1.544 -3.369 -3.878
-8.263 -7.071 2.855